(1)
YbAl2Cu3 after structural relaxation, computed with r²SCAN.

Lattice parameters (Å, degrees): 5.188 5.188 3.932 90.00 90.00 120.00
Fractional coordinates of all 6 atoms:
Yb 0.000 0.000 0.000
Al 0.333 0.667 0.000
Al 0.667 0.333 0.000
Cu 0.000 0.500 0.500
Cu 0.500 0.000 0.500
Cu 0.500 0.500 0.500

- space-group type = No. 191
- formation energy from the elements (eV/atom) = -0.3861
- total moment (μB per cell) = 0.00
- V (Å³/cell) = 92

(2)
K2AlPCO7 after structural relaxation, computed with r²SCAN.

Lattice parameters (Å, degrees): 5.405 6.519 9.501 90.00 90.17 90.00
Fractional coordinates of all 24 atoms:
K 0.244 0.029 0.257
K 0.244 0.471 0.257
K 0.756 0.529 0.743
K 0.756 0.971 0.743
Al 0.234 0.250 0.858
Al 0.766 0.750 0.142
P 0.267 0.750 0.938
P 0.733 0.250 0.062
C 0.271 0.250 0.609
C 0.729 0.750 0.391
O 0.060 0.250 0.677
O 0.070 0.750 0.054
O 0.237 0.556 0.848
O 0.237 0.944 0.848
O 0.296 0.250 0.479
O 0.455 0.250 0.700
O 0.469 0.250 0.998
O 0.531 0.750 0.002
O 0.545 0.750 0.300
O 0.704 0.750 0.521
O 0.763 0.056 0.152
O 0.763 0.444 0.152
O 0.930 0.250 0.946
O 0.940 0.750 0.323

- space-group type = No. 11
- formation energy from the elements (eV/atom) = -2.3842
- total moment (μB per cell) = 0.00
- V (Å³/cell) = 335

(3)
Er6InCo2 after structural relaxation, computed with r²SCAN.

Lattice parameters (Å, degrees): 8.279 8.279 8.279 111.34 109.94 107.17
Fractional coordinates of all 18 atoms:
Er 0.016 0.230 0.786
Er 0.187 0.290 0.476
Er 0.187 0.710 0.897
Er 0.315 0.015 0.700
Er 0.315 0.616 0.300
Er 0.443 0.230 0.214
Er 0.557 0.770 0.786
Er 0.685 0.384 0.700
Er 0.685 0.985 0.300
Er 0.813 0.290 0.103
Er 0.813 0.710 0.524
Er 0.984 0.770 0.214
In 0.000 0.000 0.000
In 0.500 0.500 0.000
Co 0.111 0.611 0.500
Co 0.382 0.000 0.382
Co 0.618 0.000 0.618
Co 0.889 0.389 0.500

- space-group type = No. 71
- formation energy from the elements (eV/atom) = -0.2686
- total moment (μB per cell) = 0.66
- V (Å³/cell) = 436

Which of these has the lowest V? YbAl2Cu3

The highest V belongs to which entry? Er6InCo2